Entry 1:
Compound: K2EuAgCl6
Source: Materials Project
Functional: PBE
Structure: optimized geometry

Energy (eV per cell): -42.667
Space group: No. 225

```
K2EuAgCl6
1.0
0.987 -7.509 -0.798
-3.187 -4.809 4.972
-5.830 -4.399 -2.159
Cl Eu K Ag
6 1 2 1
direct
0.747 0.747 0.253
0.253 0.253 0.747
0.747 0.253 0.747
0.253 0.747 0.253
0.253 0.747 0.747
0.747 0.253 0.253
0.000 0.000 0.000
0.750 0.750 0.750
0.250 0.250 0.250
0.500 0.500 0.500
```

***

Entry 2:
Compound: AgPb2Cl3OF
Source: Materials Project
Functional: PBE
Structure: optimized geometry

Energy (eV per cell): -122.607
Space group: No. 109

```
AgPb2Cl3OF
1.0
8.909 2.396 4.240
0.374 -9.078 4.531
-1.218 0.651 -10.059
Cl F Ag O Pb
12 4 4 4 8
direct
0.173 0.174 0.597
0.570 0.570 0.000
0.320 0.820 0.500
0.924 0.423 0.097
0.933 0.433 0.500
0.326 0.827 0.903
0.924 0.827 0.501
0.326 0.423 0.499
0.577 0.174 0.001
0.577 0.576 0.403
0.183 0.183 0.000
0.173 0.576 0.999
0.400 0.044 0.355
0.689 0.044 0.645
0.794 0.939 0.145
0.794 0.650 0.855
0.252 0.501 0.751
0.751 0.501 0.249
0.251 0.001 0.749
0.251 0.502 0.251
0.694 0.076 0.382
0.826 0.944 0.882
0.062 0.944 0.118
0.694 0.312 0.618
0.977 0.789 0.188
0.971 0.779 0.808
0.971 0.163 0.192
0.539 0.851 0.312
0.913 0.221 0.692
0.601 0.789 0.812
0.539 0.227 0.688
0.529 0.221 0.308
```

***

Entry 3:
Compound: K2GaAgCl6
Source: Materials Project
Functional: PBE
Structure: optimized geometry

Energy (eV per cell): -32.104
Space group: No. 225

```
K2GaAgCl6
1.0
0.000 5.113 5.113
5.113 0.000 5.113
5.113 5.113 0.000
Cl K Ag Ga
6 2 1 1
direct
0.765 0.235 0.765
0.765 0.235 0.235
0.235 0.765 0.765
0.235 0.765 0.235
0.235 0.235 0.765
0.765 0.765 0.235
0.750 0.750 0.750
0.250 0.250 0.250
0.500 0.500 0.500
0.000 0.000 0.000
```

***

Entry 4:
Compound: Rb2GdAgCl6
Source: Materials Project
Functional: PBE
Structure: optimized geometry

Energy (eV per cell): -48.015
Space group: No. 225

```
Rb2GdAgCl6
1.0
0.000 5.410 5.410
5.410 0.000 5.410
5.410 5.410 0.000
Cl Ag Rb Gd
6 1 2 1
direct
0.246 0.754 0.754
0.246 0.246 0.754
0.246 0.754 0.246
0.754 0.754 0.246
0.754 0.246 0.754
0.754 0.246 0.246
0.500 0.500 0.500
0.750 0.750 0.750
0.250 0.250 0.250
0.000 0.000 0.000
```

***

no.,calculated formation energy (eV/atom),magnetization (μB/cell)
1,-1.995,6.00
2,-1.142,0.03
3,-1.662,0.00
4,-2.174,7.00